[1]
Entry from Materials Project: a relaxed KNbAg2Se4 crystal (PBE).

Calculated values
Largest piezoelectric modulus: 0.79 C/m²
Calculated formation energy: -7.20 eV/f.u.

```
16
Lattice="1.318 5.254 8.929 -3.641 0.364 -9.781 -7.422 -2.666 2.664" Properties=species:S:1:pos:R:3 pbc="T T T"
K -4.267 2.090 -3.293
K -6.172 2.538 4.851
Nb -8.177 2.410 -0.862
Nb -3.349 4.845 2.021
Ag -5.846 3.828 0.549
Ag -2.135 5.161 -0.783
Ag -7.025 -0.409 -0.472
Ag -2.177 2.045 2.484
Se -3.316 3.031 0.297
Se -6.914 2.622 9.271
Se -3.260 3.934 7.960
Se -8.178 0.695 -2.580
Se -2.341 4.125 4.109
Se -3.332 1.538 -7.643
Se -7.125 1.602 1.260
Se -6.985 0.225 -6.332
```



[2]
Entry from Materials Project: a relaxed YTaP2SO12 crystal (PBE).

Calculated values
Calculated formation energy: -49.16 eV/f.u.

```
102
Lattice="9.072 0.000 0.000 -4.536 7.865 -0.056 0.000 -0.169 22.993" Properties=species:S:1:pos:R:3 pbc="T T T"
Y 9.048 -0.043 8.319
Y 0.025 -0.128 19.815
Y 4.511 2.522 15.965
Y 4.561 2.607 4.468
Y -0.025 5.257 0.617
Y 0.025 5.172 12.114
Ta 8.970 -0.055 14.803
Ta 0.102 0.029 3.307
Ta 4.434 2.510 22.449
Ta 4.638 2.595 10.953
Ta -0.102 5.245 7.102
Ta 0.102 5.160 18.599
P -1.971 7.690 5.694
P -1.115 2.266 5.751
P 1.115 2.182 17.248
P 1.971 7.605 17.190
P 7.102 2.390 13.395
P 3.421 4.832 13.397
P 5.651 4.916 1.900
P 1.971 2.474 1.898
P 2.566 4.955 21.041
P -1.115 7.397 21.043
P 1.115 7.482 9.546
P -2.566 5.040 9.544
S 3.051 5.680 5.698
S -3.051 5.596 17.195
S 3.051 0.380 13.400
S 6.021 0.465 1.903
S -1.485 2.946 21.046
S 1.485 3.030 9.549
O 1.726 0.029 6.970
O 3.661 6.235 6.904
O 8.163 1.418 6.971
O 0.909 1.334 18.467
O 5.412 6.150 18.400
O 7.346 -0.056 18.467
O 2.929 7.388 15.927
O 0.463 1.429 15.993
O -3.309 6.451 16.003
O 3.309 6.535 4.507
O -0.463 1.513 4.496
O -2.929 7.472 4.431
O 6.263 2.594 14.616
O 3.661 0.935 14.605
O 3.627 3.984 14.617
O 5.445 4.068 3.120
O 5.412 1.020 3.109
O 2.810 2.679 3.119
O 2.929 2.257 0.636
O 5.000 4.163 0.645
O 5.763 1.320 0.711
O 3.309 1.235 12.208
O 4.073 4.079 12.142
O 6.144 2.172 12.132
O 1.726 5.160 22.262
O -0.875 3.500 22.251
O -0.909 6.549 22.263
O 0.909 6.633 10.766
O 0.875 3.585 10.755
O -1.726 5.244 10.765
O -1.607 4.822 8.281
O 0.463 6.728 8.291
O 1.227 3.885 8.357
O -1.227 3.801 19.854
O -0.463 6.644 19.788
O 1.607 4.738 19.778
O 5.500 6.119 9.249
O 7.095 -0.059 9.302
O 1.016 1.655 9.355
O 8.056 1.570 20.852
O 1.977 -0.144 20.799
O 3.572 6.034 20.746
O 7.925 1.026 13.610
O 1.549 0.310 13.617
O 4.180 6.209 13.644
O 4.892 6.294 2.147
O 7.523 0.394 2.120
O 1.147 1.110 2.113
O 5.500 0.819 16.951
O 2.559 2.506 16.948
O 5.552 4.220 17.001
O 3.520 4.305 5.505
O 6.513 2.591 5.451
O 3.572 0.904 5.454
O 3.389 3.591 21.256
O 6.086 2.875 21.263
O 4.180 0.910 21.345
O 4.892 0.994 9.849
O 2.987 2.960 9.766
O 5.684 3.676 9.759
O 0.964 3.553 1.603
O -1.977 5.241 1.601
O 1.016 6.955 1.654
O -1.016 6.870 13.151
O 1.977 5.156 13.097
O -0.964 3.469 13.100
O -1.147 6.326 5.908
O 1.549 5.610 5.915
O -0.356 3.644 5.998
O 0.356 3.560 17.495
O -1.549 5.525 17.412
O 1.147 6.241 17.405
```



[3]
Entry from Materials Project: a relaxed LuPaRu2 crystal (PBE).

Calculated values
Calculated formation energy: -1.97 eV/f.u.

```
4
Lattice="0.000 3.396 3.396 3.396 0.000 3.396 3.396 3.396 0.000" Properties=species:S:1:pos:R:3 pbc="T T T"
Lu 3.396 3.396 3.396
Pa 0.000 0.000 0.000
Ru 1.698 1.698 1.698
Ru 5.094 5.094 5.094
```



[4]
Entry from Materials Project: a relaxed BiB3O6 crystal (PBE).

Calculated values
Excess energy over the best structure of this formula in the dataset: 0.000 eV/atom
Calculated formation energy: -25.77 eV/f.u.

```
40
Lattice="-2.493 5.574 3.009 -0.257 -2.207 3.875 12.973 3.452 4.357" Properties=species:S:1:pos:R:3 pbc="T T T"
Bi 3.547 5.455 5.135
Bi 6.676 1.363 6.106
Bi -0.054 0.181 4.221
Bi 10.277 6.637 7.020
B 2.765 1.538 2.323
B 7.458 5.281 8.918
B -0.496 5.327 3.835
B 8.937 3.966 4.881
B 11.133 3.746 6.037
B 1.285 2.853 6.360
B 10.719 1.492 7.406
B 3.402 1.622 6.229
B 6.821 5.197 5.012
B -0.910 3.072 5.204
B 5.608 4.726 7.344
B 4.614 2.092 3.898
O 11.367 2.811 7.163
O 6.064 3.350 7.555
O 7.539 3.908 4.915
O 4.158 3.469 3.686
O 6.445 5.703 8.096
O -1.144 4.008 4.078
O 9.250 1.596 7.526
O -1.688 1.839 4.865
O -1.334 3.662 6.477
O 9.692 4.122 6.014
O 5.634 5.082 5.905
O 8.504 6.125 9.308
O 3.778 1.116 3.145
O 0.531 2.697 5.227
O 7.794 6.200 5.490
O 6.033 1.894 3.463
O 11.911 4.979 6.376
O 4.190 4.925 7.778
O 1.719 0.694 1.933
O 11.557 3.157 4.764
O 2.428 0.619 5.751
O 0.973 5.223 3.716
O 4.589 1.737 5.336
O 2.683 2.911 6.326
```



[5]
Entry from Materials Project: a relaxed PmCu2Si crystal (PBE).

Calculated values
Calculated formation energy: -0.81 eV/f.u.

```
4
Lattice="0.000 3.229 3.229 3.229 0.000 3.229 3.229 3.229 0.000" Properties=species:S:1:pos:R:3 pbc="T T T"
Pm 1.615 1.615 1.615
Cu 3.229 3.229 3.229
Cu 0.000 0.000 0.000
Si 4.844 4.844 4.844
```



[6]
Entry from Materials Project: a relaxed CaMg5P3CO16 crystal (PBE).

Calculated values
Calculated formation energy: -75.02 eV/f.u.

```
52
Lattice="-4.838 -3.158 -2.672 4.286 -7.384 2.176 -3.963 1.845 10.039" Properties=species:S:1:pos:R:3 pbc="T T T"
Ca -5.020 -6.087 8.550
Ca 0.505 -2.610 0.992
Mg -4.914 0.416 8.293
Mg 0.398 -9.113 1.249
Mg -2.665 -4.840 3.090
Mg -1.850 -3.857 6.452
Mg 0.446 -5.093 8.303
Mg -4.961 -3.604 1.240
Mg -4.589 -2.944 7.404
Mg 0.074 -5.753 2.138
Mg -4.852 -2.073 4.013
Mg 0.337 -6.624 5.530
P 2.498 -7.471 3.279
P -7.014 -1.226 6.263
P -1.759 -7.978 3.653
P -2.756 -0.719 5.889
P -2.584 -4.399 9.761
P -1.931 -4.298 -0.218
C -4.533 -5.271 5.487
C 0.017 -3.426 4.056
O -2.115 -1.032 -0.086
O -2.400 -7.665 9.628
O -1.328 -9.535 0.170
O -3.187 0.838 9.373
O -1.191 -0.971 2.232
O -3.325 -7.726 7.311
O 1.166 -6.749 3.676
O -5.681 -1.948 5.867
O 1.601 -5.265 6.440
O -6.116 -3.432 3.102
O -1.193 -7.889 5.092
O -3.322 -0.808 4.451
O -0.921 -9.001 2.852
O -3.595 0.304 6.691
O -1.631 -6.575 2.992
O -2.884 -2.122 6.551
O 0.294 -7.121 0.453
O -4.809 -1.576 9.090
O -1.167 -5.022 9.758
O -3.348 -3.675 -0.215
O -3.078 -4.169 8.308
O -1.437 -4.528 1.235
O -2.526 -3.120 10.656
O -1.990 -5.577 -1.113
O -3.648 -3.120 2.763
O -0.867 -5.577 6.779
O -5.097 -4.795 6.548
O 0.582 -3.902 2.995
O -0.149 -3.195 7.602
O -4.366 -5.502 1.941
O -3.480 -4.673 5.020
O -1.035 -4.024 4.523
```



[7]
Entry from Materials Project: a relaxed Dy3SbO3 crystal (PBE).

Calculated values
Calculated formation energy: -22.06 eV/f.u.

```
14
Lattice="1.590 -4.783 -4.638 3.340 -5.825 -1.349 -6.299 -9.951 0.198" Properties=species:S:1:pos:R:3 pbc="T T T"
Dy -2.914 -6.825 -0.612
Dy 1.546 -13.735 -5.177
Dy 0.380 -5.695 -2.007
Dy -1.748 -14.865 -3.782
Dy -1.380 -18.222 -5.042
Dy 0.011 -2.338 -0.747
Sb -2.402 -10.829 -2.155
Sb 1.033 -9.731 -3.635
O 3.409 -11.849 -5.570
O -4.777 -8.711 -0.219
O 1.554 -3.716 -2.005
O -2.923 -16.844 -3.784
O -1.046 -7.361 -1.777
O -0.323 -13.199 -4.012
```



[8]
Entry from Materials Project: a relaxed Mg149Be crystal (PBE).

Calculated values
Calculated formation energy: -2.76 eV/f.u.

```
150
Lattice="-8.616 1.230 -13.294 -5.402 -8.632 12.198 -7.104 12.599 5.770" Properties=species:S:1:pos:R:3 pbc="T T T"
Mg -1.685 0.229 -2.575
Mg -6.954 0.982 -10.706
Mg -9.651 -0.442 -10.916
Mg -2.724 -1.432 -0.228
Mg -7.975 -0.735 -8.215
Mg -4.509 -1.230 -2.867
Mg -6.246 -0.985 -5.539
Mg -3.862 -3.189 2.208
Mg -5.592 -2.953 -0.437
Mg -2.155 -3.444 4.866
Mg -9.057 -2.470 -5.758
Mg -7.330 -2.716 -3.093
Mg -6.688 -4.686 1.998
Mg -4.961 -4.932 4.662
Mg -3.247 -5.188 7.331
Mg -8.425 -4.449 -0.658
Mg -10.149 -4.207 -3.308
Mg -7.770 -6.416 4.442
Mg -6.041 -6.670 7.128
Mg -9.516 -6.174 1.766
Mg -12.955 -5.722 -3.456
Mg -11.297 -5.958 -0.898
Mg -10.580 -7.892 4.207
Mg -8.839 -8.141 6.894
Mg -2.405 0.999 1.651
Mg -6.758 -5.957 11.481
Mg -13.701 -4.965 0.768
Mg -5.257 -0.447 1.472
Mg -3.539 -0.692 4.123
Mg -5.714 -4.169 9.037
Mg -10.904 -3.428 1.030
Mg -8.511 -5.646 8.818
Mg -11.981 -5.150 3.463
Mg -6.354 -2.175 3.916
Mg -7.439 -3.910 6.367
Mg -9.170 -3.663 3.696
Mg -8.083 -1.935 1.260
Mg -4.635 -2.427 6.579
Mg -10.244 -5.388 6.140
Mg -5.925 1.521 -3.618
Mg -7.646 1.766 -6.274
Mg -7.005 -0.206 -1.178
Mg -10.450 0.286 -6.493
Mg -9.806 -1.685 -1.397
Mg -11.530 -1.439 -4.056
Mg -8.728 0.041 -3.836
Mg -4.214 1.280 -0.960
Mg -9.373 2.017 -8.921
Mg -12.607 -3.152 -1.617
Mg -2.357 4.180 1.914
Mg -9.478 -4.195 11.466
Mg -14.660 -3.455 3.470
Mg -3.442 2.469 4.347
Mg -5.155 2.714 1.704
Mg -13.586 -1.739 1.045
Mg -6.691 -2.723 11.684
Mg -12.939 -3.698 6.137
Mg -11.209 -3.945 8.806
Mg -7.967 1.236 1.484
Mg -4.525 0.745 6.795
Mg -10.781 -0.249 1.264
Mg -5.609 -0.988 9.244
Mg -6.246 0.990 4.140
Mg -8.409 -2.466 9.024
Mg -11.859 -1.973 3.701
Mg -9.054 -0.490 3.923
Mg -7.330 -0.736 6.582
Mg -10.134 -2.217 6.363
Mg -8.615 3.210 -3.615
Mg -11.421 1.728 -3.834
Mg -9.696 1.482 -1.174
Mg -10.342 3.459 -6.275
Mg -6.892 2.967 -0.953
Mg -12.504 0.003 -1.391
Mg -4.843 5.234 3.623
Mg -11.740 6.216 -7.014
Mg -6.566 5.478 0.969
Mg -8.292 5.724 -1.693
Mg -10.015 5.970 -4.352
Mg -7.646 3.754 3.402
Mg -5.922 3.508 6.063
Mg -11.096 4.242 -1.912
Mg -12.821 4.488 -4.571
Mg -9.373 3.996 0.749
Mg -8.727 2.026 5.844
Mg -10.454 2.271 3.184
Mg -7.005 1.778 8.506
Mg -13.901 2.762 -2.132
Mg -12.176 2.515 0.529
Mg -9.810 0.296 8.289
Mg -11.537 0.543 5.624
Mg -8.086 0.050 10.950
Mg -13.262 0.789 2.963
Mg -14.983 1.033 0.310
Mg -9.167 -1.677 13.388
Mg -16.065 -0.692 2.745
Mg -12.616 -1.185 8.067
Mg -14.343 -0.939 5.404
Mg -10.891 -1.432 10.730
Mg -12.709 7.658 -4.353
Mg -9.259 7.165 0.970
Mg -14.871 4.202 0.531
Mg -10.986 7.414 -1.690
Mg -13.791 5.933 -1.909
Mg -12.067 5.687 0.752
Mg -11.425 3.715 5.849
Mg -9.701 3.469 8.508
Mg -12.505 1.989 8.289
Mg -8.620 5.199 6.068
Mg -10.782 1.743 10.951
Mg -14.232 2.236 5.629
Mg -15.312 0.512 8.065
Mg -13.582 0.265 10.733
Mg -10.340 5.446 3.412
Mg -6.898 4.954 8.723
Mg -13.154 3.960 3.192
Mg -7.983 3.221 11.171
Mg -11.857 0.025 13.399
Mg -17.039 0.765 5.402
Mg -5.821 6.688 6.279
Mg -7.534 6.933 3.636
Mg -15.965 2.481 2.977
Mg -9.070 1.496 13.617
Mg -4.747 8.419 3.855
Mg -8.943 9.668 2.881
Mg -14.102 10.405 -5.079
Mg -17.337 5.236 2.225
Mg -13.465 8.443 0.012
Mg -10.663 9.924 0.231
Mg -12.384 10.170 -2.425
Mg -11.744 8.197 2.671
Mg -15.189 8.689 -2.645
Mg -14.544 6.719 2.452
Mg -16.268 6.965 -0.208
Mg -12.824 6.475 5.111
Mg -9.377 5.983 10.430
Mg -14.986 3.021 9.992
Mg -11.095 6.233 7.767
Mg -12.180 4.499 10.218
Mg -13.911 4.746 7.547
Mg -10.005 7.974 5.328
Mg -8.286 7.728 7.980
Mg -10.462 4.251 12.893
Mg -15.651 4.992 4.886
Mg -13.258 2.775 12.675
Mg -16.729 3.271 7.320
Mg -7.212 9.524 5.555
Mg -11.565 2.568 15.385
Mg -18.508 3.560 4.672
Be 0.000 0.000 0.000
```



[9]
Entry from Materials Project: a relaxed TiOF2 crystal (PBE).

Calculated values
Excess energy over the best structure of this formula in the dataset: 0.000 eV/atom
Calculated formation energy: -14.27 eV/f.u.

```
4
Lattice="3.947 0.000 0.000 0.000 3.947 0.000 0.000 0.000 3.698" Properties=species:S:1:pos:R:3 pbc="T T T"
Ti 0.000 0.000 0.000
O 0.000 0.000 1.849
F 1.974 0.000 0.000
F 0.000 1.974 0.000
```